Record 1
# Er2Se3O12 (PBE, relaxed)
# ΔE to the lowest computed polymorph	0.0	meV/atom
# DFT formation energy	-1.770	eV/atom
# raw total energy	-5.933	eV/atom
data_Er2Se3O12
_space_group_name_H-M_alt 'C 1 2 1'
_space_group_IT_number 5
_cell_length_a 12.2090
_cell_length_b 7.0473
_cell_length_c 6.5532
_cell_angle_alpha 90.00
_cell_angle_beta 102.23
_cell_angle_gamma 90.00
loop_
_space_group_symop_operation_xyz
'x,y,z'
'-x,y,-z'
'x+1/2,y+1/2,z'
'-x+1/2,y+1/2,-z'
loop_
_atom_site_label
_atom_site_type_symbol
_atom_site_fract_x
_atom_site_fract_y
_atom_site_fract_z
Er1 Er 0.2105 0.0000 0.3622
Se1 Se 0.0000 0.6826 0.5000
Se2 Se 0.2076 0.5277 0.1291
O1 O 0.0469 0.8204 0.3290
O2 O 0.0641 0.2241 0.2963
O3 O 0.1028 0.5423 0.6230
O4 O 0.1938 0.9936 0.0136
O5 O 0.2299 0.1832 0.6740
O6 O 0.2333 0.3340 0.3064

***

Record 2
# Er2SiSeO4 (PBE, relaxed)
# DFT formation energy	-3.344	eV/atom
# raw total energy	-7.732	eV/atom
data_Er2SiSeO4
_space_group_name_H-M_alt 'P b c m'
_space_group_IT_number 57
_cell_length_a 6.0201
_cell_length_b 6.9208
_cell_length_c 10.7895
_cell_angle_alpha 90.00
_cell_angle_beta 90.00
_cell_angle_gamma 90.00
loop_
_space_group_symop_operation_xyz
'x,y,z'
'-x,-y,-z'
'-x,-y,z+1/2'
'x,y,-z+1/2'
'x,-y+1/2,-z'
'-x,y+1/2,z'
'-x,y+1/2,-z+1/2'
'x,-y+1/2,z+1/2'
loop_
_atom_site_label
_atom_site_type_symbol
_atom_site_fract_x
_atom_site_fract_y
_atom_site_fract_z
Er1 Er 0.1093 0.2500 0.0000
Er2 Er 0.3655 0.5269 0.2500
Si1 Si 0.3854 0.7500 0.0000
Se1 Se 0.0710 0.6333 0.7500
O1 O 0.2210 0.5671 0.0314
O2 O 0.4469 0.2413 0.6214

***

Record 3
# Er2SiO5 (PBE, relaxed)
# ΔE to the lowest computed polymorph	25.4	meV/atom
# DFT formation energy	-3.811	eV/atom
# raw total energy	-8.294	eV/atom
data_Er2SiO5
_space_group_name_H-M_alt 'P 1 21/c 1'
_space_group_IT_number 14
_cell_length_a 9.1449
_cell_length_b 6.7736
_cell_length_c 6.7094
_cell_angle_alpha 90.00
_cell_angle_beta 103.57
_cell_angle_gamma 90.00
loop_
_space_group_symop_operation_xyz
'x,y,z'
'-x,-y,-z'
'-x,y+1/2,-z+1/2'
'x,-y+1/2,z+1/2'
loop_
_atom_site_label
_atom_site_type_symbol
_atom_site_fract_x
_atom_site_fract_y
_atom_site_fract_z
Er1 Er 0.0312 0.1209 0.2310
Er2 Er 0.3616 0.1404 0.0293
Si1 Si 0.2984 0.5936 0.0121
O1 O 0.1099 0.1207 0.9320
O2 O 0.1148 0.6415 0.9808
O3 O 0.2894 0.0655 0.3183
O4 O 0.3620 0.0593 0.7021
O5 O 0.3979 0.7090 0.5112